{"formula": "Na6Hf2Ti2Si5SO24", "functional": "PBE-GGA", "state": "relaxed", "space_group": "P1", "rho_g_cm3": 3.59, "energy_mp2020_ev_per_atom": -7.87, "lattice": [[-3.5067, 2.0699, -8.0875], [-5.4232, -0.8833, 7.1798], [2.4477, 21.8434, 4.5073]], "species": ["O", "O", "O", "Si", "O", "Si", "Na", "O", "O", "O", "O", "O", "Na", "Na", "O", "O", "S", "O", "O", "O", "O", "O", "Na", "Hf", "S", "O", "O", "O", "Na", "O", "O", "Hf", "O", "O", "Na", "Si", "Si", "O", "Si", "Hf", "Ti", "Si", "O", "O", "O", "O", "O", "Na", "Ti", "O", "O", "O", "Hf", "O", "Na", "Si", "Na", "O", "O", "Na", "O", "O", "O", "O", "O", "O", "Si", "O", "Si", "O", "O", "O", "Na", "O", "O", "S", "Na", "O", "O", "Ti", "Si", "O", "O", "Na", "Na", "Si", "O", "Na", "O", "Si", "O", "Hf", "O", "Ti", "O", "O", "Si", "O", "Na", "O", "O", "O", "Si", "O", "O", "O", "O", "O", "Si", "O", "Na", "Ti", "O", "O", "Hf", "Ti", "O", "Na", "O", "O"], "frac_coords": [[0.0178, 0.1782, 0.9119], [0.4795, 0.3108, 0.0277], [0.1955, 0.1638, 0.8070], [0.0296, 0.3641, 0.9179], [0.1831, 0.1682, 0.0899], [0.3345, 0.9631, 0.9194], [0.6361, 0.6360, 0.7495], [0.9720, 0.8059, 0.8113], [0.1776, 0.2149, 0.6909], [0.8237, 0.0348, 0.0861], [0.8453, 0.0292, 0.8071], [0.5172, 0.6868, 0.2550], [0.0290, 0.6977, 0.5830], [0.0000, 0.3659, 0.7514], [0.9601, 0.1645, 0.3035], [0.1622, 0.9651, 0.1950], [0.6227, 0.6651, 0.9195], [0.5241, 0.8285, 0.7587], [0.6894, 0.1574, 0.0309], [0.8345, 0.8134, 0.5871], [0.7968, 0.8173, 0.9151], [0.6230, 0.1388, 0.4157], [0.0353, 0.3294, 0.0868], [0.6694, 0.3338, 0.6880], [0.3330, 0.3774, 0.4146], [0.8294, 0.5223, 0.7493], [0.2192, 0.0474, 0.3099], [0.4962, 0.3578, 0.1421], [0.6407, 0.0073, 0.2487], [0.8340, 0.2959, 0.5278], [0.5007, 0.8517, 0.3571], [0.9876, 0.9917, 0.3507], [0.1718, 0.4813, 0.2556], [0.5023, 0.1520, 0.9292], [0.3674, 0.0006, 0.7513], [0.6264, 0.9583, 0.4145], [0.3758, 0.3363, 0.0833], [0.6870, 0.5194, 0.2394], [0.9997, 0.2911, 0.2464], [0.3362, 0.6747, 0.5190], [0.3284, 0.6797, 0.3099], [0.9621, 0.3323, 0.5843], [0.5405, 0.8495, 0.4753], [0.3544, 0.5066, 0.0757], [0.8311, 0.3139, 0.2393], [0.8510, 0.4978, 0.4156], [0.6935, 0.1695, 0.7492], [0.9688, 0.6659, 0.9169], [0.0125, 0.9948, 0.1482], [0.6397, 0.1201, 0.1387], [0.3164, 0.4832, 0.7586], [0.8474, 0.3589, 0.9263], [0.3291, 0.6713, 0.8177], [0.0360, 0.2017, 0.1885], [0.6846, 0.3381, 0.3326], [0.7082, 0.7118, 0.2465], [0.9971, 0.6310, 0.2494], [0.5323, 0.6828, 0.9704], [0.4876, 0.1689, 0.2402], [0.6702, 0.9705, 0.5832], [0.5251, 0.6431, 0.8626], [0.6332, 0.5096, 0.6443], [0.0404, 0.8483, 0.4109], [0.3501, 0.4788, 0.3611], [0.8332, 0.7860, 0.3049], [0.1507, 0.4987, 0.5771], [0.9490, 0.6263, 0.0821], [0.3109, 0.8312, 0.2547], [0.7124, 0.9987, 0.7527], [0.0346, 0.8250, 0.6930], [0.9726, 0.8164, 0.0905], [0.1849, 0.0205, 0.5869], [0.3347, 0.6665, 0.6675], [0.3151, 0.4574, 0.4701], [0.1697, 0.6905, 0.7575], [0.6629, 0.0426, 0.0831], [0.3428, 0.6701, 0.1631], [0.1546, 0.4642, 0.9764], [0.8058, 0.8447, 0.1917], [0.6676, 0.3483, 0.1851], [0.3750, 0.0437, 0.5819], [0.4941, 0.1287, 0.6412], [0.1527, 0.6886, 0.4739], [0.6601, 0.3166, 0.8386], [0.3020, 0.3314, 0.5857], [0.0394, 0.6668, 0.4143], [0.6989, 0.5295, 0.5274], [0.3313, 0.0257, 0.4165], [0.3676, 0.8852, 0.8577], [0.2936, 0.2940, 0.7508], [0.1209, 0.4890, 0.8601], [0.9998, 0.9989, 0.6482], [0.8813, 0.3702, 0.6439], [0.3037, 0.6512, 0.0198], [0.4612, 0.1616, 0.5229], [0.6430, 0.5096, 0.9226], [0.6656, 0.6235, 0.5836], [0.7886, 0.9655, 0.6910], [0.3633, 0.3674, 0.2482], [0.8341, 0.5266, 0.0238], [0.4789, 0.3054, 0.7483], [0.8629, 0.5010, 0.1409], [0.9996, 0.7117, 0.7537], [0.5123, 0.8713, 0.0759], [0.1538, 0.9652, 0.9140], [0.1433, 0.6499, 0.3556], [0.4950, 0.6404, 0.5780], [0.1796, 0.2032, 0.4122], [0.2968, 0.0072, 0.2505], [0.3549, 0.8530, 0.5787], [0.9816, 0.9888, 0.4981], [0.6558, 0.3278, 0.9824], [0.9796, 0.1620, 0.5873], [0.1388, 0.6362, 0.0761], [0.6801, 0.3359, 0.4782], [0.0156, 0.0175, 0.8532], [0.3067, 0.8233, 0.9729], [0.0112, 0.0041, 0.0004], [0.8168, 0.9841, 0.4110], [0.4866, 0.3571, 0.4184]]}